<one>
Computed, not measured: crystalline Fe5O2F8 at its relaxed geometry at the PBE with a Hubbard U level of DFT.

Values from the calculation:
space-group type = P2_1/c (14)
total moment = 1.467 μB per atom

Cell lengths 4.8615, 7.9167, 10.7095 Å; angles 65.20, 90.00, 90.00 degrees
Positions (direct):
Fe (0.4739, 0.8856, 0.9053)
Fe (0.5000, 0.5000, 0.5000)
Fe (0.5261, 0.1144, 0.0947)
Fe (0.4841, 0.7059, 0.6832)
Fe (0.5159, 0.2941, 0.3168)
Fe (0.0000, 0.5000, 0.0000)
Fe (0.0159, 0.7059, 0.1832)
Fe (0.0261, 0.8856, 0.4053)
Fe (0.9739, 0.1144, 0.5947)
Fe (0.9841, 0.2941, 0.8168)
O (0.1746, 0.7133, 0.0247)
O (0.3254, 0.7133, 0.5247)
O (0.6746, 0.2867, 0.4753)
O (0.8254, 0.2867, 0.9753)
F (0.2175, 0.5154, 0.8138)
F (0.1992, 0.9172, 0.2111)
F (0.1983, 0.1246, 0.4181)
F (0.1823, 0.3118, 0.6430)
F (0.3017, 0.1246, 0.9181)
F (0.3177, 0.3118, 0.1430)
F (0.3008, 0.9172, 0.7111)
F (0.2825, 0.5154, 0.3138)
F (0.6983, 0.8754, 0.0819)
F (0.6992, 0.0828, 0.2889)
F (0.7175, 0.4846, 0.6862)
F (0.6823, 0.6882, 0.8570)
F (0.7825, 0.4846, 0.1862)
F (0.8177, 0.6882, 0.3570)
F (0.8008, 0.0828, 0.7889)
F (0.8017, 0.8754, 0.5819)

---

<two>
Computed, not measured: crystalline Fe5O2F8 at its relaxed geometry at the PBE with a Hubbard U level of DFT.

Values from the calculation:
space-group type = P-1 (2)
total moment = 1.467 μB per atom

Cell lengths 4.7652, 5.7110, 13.7413 Å; angles 100.11, 90.36, 90.54 degrees
Positions (direct):
Fe (0.5000, 0.5000, 0.0000)
Fe (0.5188, 0.2941, 0.4015)
Fe (0.5185, 0.9010, 0.2065)
Fe (0.4812, 0.7059, 0.5985)
Fe (0.4815, 0.0990, 0.7935)
Fe (0.9773, 0.8130, 0.3930)
Fe (0.9653, 0.6041, 0.8140)
Fe (0.0347, 0.3959, 0.1860)
Fe (0.0227, 0.1870, 0.6070)
Fe (0.0000, 0.0000, 0.0000)
O (0.2117, 0.2978, 0.0466)
O (0.2918, 0.0187, 0.6577)
O (0.7082, 0.9813, 0.3423)
O (0.7883, 0.7022, 0.9534)
F (0.1948, 0.7272, 0.2639)
F (0.1949, 0.9310, 0.8683)
F (0.1872, 0.5086, 0.6589)
F (0.1900, 0.1208, 0.4643)
F (0.2943, 0.8067, 0.0641)
F (0.2885, 0.6247, 0.4546)
F (0.3109, 0.4380, 0.8612)
F (0.3013, 0.2239, 0.2619)
F (0.6987, 0.7761, 0.7381)
F (0.6891, 0.5620, 0.1388)
F (0.7057, 0.1933, 0.9359)
F (0.7115, 0.3753, 0.5454)
F (0.8051, 0.0690, 0.1317)
F (0.8100, 0.8792, 0.5357)
F (0.8128, 0.4914, 0.3411)
F (0.8052, 0.2728, 0.7361)

---

Most stable: <one>